one:
DFT (PBE) results for a relaxed LiAg2F6 crystal.

Properties
* spin magnetization: 0.653 μB per cell

abc: 5.4744 5.4744 4.8178
angles: 90.00 90.00 120.00
With the nearest neighbours (Å) after each atom.
Space group P321 (No. 150)
One atom of each set of equivalent atoms:
Li 0.0000 0.0000 0.0000  3 F 1.88
Ag 0.3333 0.6667 0.2570  6 F 2.12-2.18
F 0.0000 0.3544 0.5000  2 Ag 2.12
F 0.0000 0.6572 0.0000  1 Li 1.88

two:
DFT (PBE) results for a relaxed LiAg2F6 crystal.

Properties
* spin magnetization: 0.094 μB per cell

abc: 9.2856 9.2856 4.8230
angles: 90.00 90.00 120.00
With the nearest neighbours (Å) after each atom.
Space group P321 (No. 150)
One atom of each set of equivalent atoms:
Li 0.0000 0.0000 0.0000  6 F 2.08
Li 0.3333 0.6667 0.5146  6 F 2.03-2.14
Ag 0.0000 0.3053 0.5000  4 F 2.05-2.07
Ag 0.0000 0.6377 0.0000  2 F 2.03
F 0.1019 0.8861 0.2381  2 Ag 2.07-2.31, 1 Li 2.08
F 0.1145 0.5202 0.2723  2 Ag 2.05-2.28, 1 Li 2.14
F 0.1990 0.7426 0.7422  1 Ag 2.03, 1 Li 2.03

Computed stability ranking, most favorable first: two, one

one:
DFT (PBE) results for a relaxed LiAg2F6 crystal.

Properties
* spin magnetization: 0.789 μB per cell

abc: 4.9199 4.9199 10.2324
angles: 90.00 90.00 90.00
With the nearest neighbours (Å) after each atom.
Space group P-42_1m (No. 113)
One atom of each set of equivalent atoms:
Li 0.0000 0.5000 0.2478  6 F 2.08-2.23
Ag 0.0000 0.5000 0.5850  6 F 2.10-2.22
Ag 0.0000 0.5000 0.9167  6 F 2.12-2.18
F 0.1958 0.6958 0.0794  2 Ag 2.12-2.15, 1 Li 2.20
F 0.1984 0.6984 0.4186  2 Ag 2.10-2.19, 1 Li 2.23
F 0.2012 0.7012 0.7529  1 Li 2.08, 2 Ag 2.18-2.22

two:
DFT (PBE) results for a relaxed LiAg2F6 crystal.

Properties
* spin magnetization: 4.002 μB per cell

abc: 5.6095 5.4872 16.0845
angles: 90.00 93.81 90.00
With the nearest neighbours (Å) after each atom.
Space group P2_1/c (No. 14)
One atom of each set of equivalent atoms:
Li 0.1568 0.0378 0.4326  4 F 1.92-2.11
Ag 0.2418 0.5142 0.2549  4 F 1.98-2.02
Ag 0.2991 0.5282 0.5769  4 F 2.07-2.30
F 0.0092 0.1465 0.8268  1 Ag 2.00
F 0.0756 0.1434 0.6551  1 Ag 2.00, 1 Li 2.11
F 0.0795 0.7368 0.0061  2 Li 1.98-2.02, 1 Ag 2.07
F 0.3935 0.2394 0.9784  1 Li 1.92
F 0.4245 0.6712 0.3531  2 Ag 2.02-2.15
F 0.4693 0.6749 0.1831  1 Ag 1.98

Computed stability ranking, most favorable first: one, two

one:
DFT (PBE) results for a relaxed AgO2F crystal.

Properties
* spin magnetization: 0.000 μB per cell

abc: 7.0745 8.0432 4.4086
angles: 90.00 90.00 90.00
With the nearest neighbours (Å) after each atom.
Space group C222_1 (No. 20)
One atom of each set of equivalent atoms:
Ag 0.2182 0.0000 0.0000  2 O 2.10, 2 F 2.14
O 0.0884 0.3804 0.7885  1 O 1.30
F 0.0000 0.1220 0.2500  2 Ag 2.14

two:
DFT (PBE) results for a relaxed AgO2F crystal.

Properties
* spin magnetization: 0.001 μB per cell

abc: 13.2760 3.9077 4.8095
angles: 90.00 100.70 90.00
With the nearest neighbours (Å) after each atom.
Space group C2/m (No. 12)
One atom of each set of equivalent atoms:
Ag 0.1706 0.0000 0.2124  2 F 2.26, 2 O 2.27
O 0.0323 0.3381 0.2235  1 O 1.27
F 0.2430 0.0000 0.7568  2 Ag 2.26

Computed stability ranking, most favorable first: two, one

one:
DFT (PBE) results for a relaxed MgFeAgS2 crystal.

Properties
* spin magnetization: 2.908 μB per cell

abc: 3.4044 3.4044 25.2319
angles: 90.00 90.00 120.00
With the nearest neighbours (Å) after each atom.
Space group R3m (No. 160, hexagonal axes)
One atom of each set of equivalent atoms:
Mg 0.0000 0.0000 0.0000  3 S 2.57, 3 Ag 2.87
Fe 0.0000 0.0000 0.4566  6 S 2.22-2.44
Ag 0.0000 0.0000 0.5838  3 Mg 2.87, 3 S 2.94, 1 Fe 3.21
S 0.0000 0.0000 0.1640  3 Fe 2.22
S 0.0000 0.0000 0.7326  3 Fe 2.44, 3 Mg 2.57

two:
DFT (PBE) results for a relaxed MgFeAgS2 crystal.

Properties
* spin magnetization: 1.826 μB per cell

abc: 5.8713 3.3922 8.7186
angles: 90.00 103.17 90.00
With the nearest neighbours (Å) after each atom.
Space group Cm (No. 8)
One atom of each set of equivalent atoms:
Mg 0.0000 0.0000 0.0000  3 S 2.55
Fe 0.1210 0.0000 0.3597  6 S 2.22-2.42
Ag 0.2487 0.0000 0.7476  3 Mg 2.90, 3 S 2.96-2.98
S 0.3295 0.5000 0.4834  3 Fe 2.22
S 0.3982 0.0000 0.1927  3 Fe 2.42, 3 Mg 2.55

Computed stability ranking, most favorable first: two, one

one:
DFT (PBE) results for a relaxed MgFeAg2SnS4 crystal.

Properties
* spin magnetization: 4.001 μB per cell

abc: 6.1143 6.1195 7.0063
angles: 115.01 114.77 91.24
With the nearest neighbours (Å) after each atom.
Space group P1 (No. 1)
One atom of each set of equivalent atoms:
Mg 0.0000 0.0000 0.0000  4 S 2.43-2.58, 1 Fe 2.61
Fe 0.0844 0.0851 0.6984  4 S 2.25-2.40
Ag 0.3494 0.7666 0.2381  3 S 2.51-2.75
Ag 0.7662 0.3498 0.2369  3 S 2.51-2.75
Sn 0.5340 0.5347 0.7352  4 S 2.71-2.86
S 0.1382 0.1390 0.4209  1 Fe 2.25, 1 Mg 2.43
S 0.3926 0.9788 0.9537  1 Fe 2.32, 1 Ag 2.55, 1 Mg 2.55
S 0.7465 0.7471 0.5408  1 Fe 2.40, 2 Ag 2.51, 1 Mg 2.58
S 0.9776 0.3937 0.9544  1 Fe 2.32, 1 Ag 2.55, 1 Mg 2.56

two:
DFT (PBE) results for a relaxed MgFeAg2SnS4 crystal.

Properties
* spin magnetization: 8.023 μB per cell

abc: 8.7104 11.0914 5.7207
angles: 90.00 130.56 90.00
With the nearest neighbours (Å) after each atom.
Space group C2 (No. 5)
One atom of each set of equivalent atoms:
Mg 0.0000 0.0000 0.0000  4 S 2.47-2.48
Fe 0.0000 0.0006 0.5000  4 S 2.32-2.33
Ag 0.0000 0.2753 0.0000  4 S 2.61-2.67
Ag 0.0000 0.7263 0.0000  4 S 2.60-2.68
Sn 0.0000 0.5032 0.5000  4 S 2.83-2.84
S 0.2050 0.1228 0.9309  1 Fe 2.32, 1 Mg 2.47
S 0.2076 0.8784 0.4787  1 Fe 2.33, 1 Mg 2.48

Computed stability ranking, most favorable first: two, one

one:
DFT (PBE) results for a relaxed Zn2GaAgSe4 crystal.

Properties
* spin magnetization: 0.001 μB per cell

abc: 5.8846 5.8846 11.4185
angles: 90.00 90.00 90.00
With the nearest neighbours (Å) after each atom.
Space group I-42m (No. 121)
One atom of each set of equivalent atoms:
Zn 0.0000 0.5000 0.2500  4 Se 2.50
Ga 0.0000 0.0000 0.0000  4 Se 2.45
Ag 0.0000 0.0000 0.5000  4 Se 2.65
Se 0.2359 0.2359 0.8711  1 Ga 2.45, 2 Zn 2.50, 1 Ag 2.65

two:
DFT (PBE) results for a relaxed Zn2GaAgSe4 crystal.

Properties
* spin magnetization: 0.000 μB per cell

abc: 6.7850 4.0850 7.1986
angles: 90.00 90.16 90.00
With the nearest neighbours (Å) after each atom.
Space group Pm (No. 6)
One atom of each set of equivalent atoms:
Zn 0.0000 0.0000 0.0000  4 Se 2.44-2.61
Zn 0.4706 0.5000 0.8399  4 Se 2.43-2.59
Ga 0.0000 0.5000 0.5156  4 Se 2.38-2.54
Ag 0.4816 0.0000 0.3365  4 Se 2.59-2.66
Se 0.3508 0.5000 0.5215  1 Ga 2.38, 1 Zn 2.43, 2 Ag 2.60
Se 0.3593 0.0000 0.9953  3 Zn 2.44-2.45, 1 Ag 2.59
Se 0.8524 0.5000 0.8376  1 Ga 2.53, 3 Zn 2.56-2.59
Se 0.8736 0.0000 0.3416  2 Ga 2.54, 1 Zn 2.61, 1 Ag 2.66

Computed stability ranking, most favorable first: one, two

one:
DFT (PBE) results for a relaxed In2Ag2GeS6 crystal.

Properties
* spin magnetization: 0.003 μB per cell

abc: 12.4273 7.3895 12.4126
angles: 90.00 109.57 90.00
With the nearest neighbours (Å) after each atom.
Space group Cc (No. 9)
One atom of each set of equivalent atoms:
In 0.0000 0.0615 0.0000  4 S 2.51-2.53
In 0.3208 0.4075 0.6942  4 S 2.52-2.55
Ag 0.1361 0.2908 0.3426  4 S 2.59-2.76
Ag 0.3384 0.0844 0.9975  4 S 2.59-2.73
Ge 0.0668 0.2317 0.7553  4 S 2.22-2.24
S 0.1183 0.4786 0.6801  1 Ge 2.24
S 0.1395 0.2530 0.9445  1 Ge 2.22
S 0.1407 0.0084 0.1984  1 Ge 2.22
S 0.3293 0.2640 0.5130  2 In 2.52-2.53, 2 Ag 2.59-2.62
S 0.3778 0.2608 0.1999  1 Ge 2.22
S 0.4458 0.2761 0.8826  2 In 2.52-2.53, 2 Ag 2.62-2.66

two:
DFT (PBE) results for a relaxed In2Ag2GeS6 crystal.

Properties
* spin magnetization: 0.008 μB per cell

abc: 11.9282 9.4478 10.7371
angles: 90.00 117.67 90.00
With the nearest neighbours (Å) after each atom.
Space group Cc (No. 9)
One atom of each set of equivalent atoms:
In 0.0000 0.0771 0.0000  4 S 2.60-2.78, 1 In 2.90
In 0.3356 0.3912 0.7745  3 S 2.64-2.85, 1 In 2.90
Ag 0.0088 0.4844 0.3064  3 S 2.57-2.69
Ag 0.2442 0.2267 0.4785  4 S 2.58-2.83
Ge 0.3068 0.2482 0.1045  4 S 2.23-2.28
S 0.0953 0.1930 0.5941  1 S 2.07
S 0.2185 0.0411 0.0055  1 Ge 2.24
S 0.2361 0.4717 0.0295  1 Ge 2.28
S 0.3902 0.1998 0.3336  1 Ge 2.23
S 0.4288 0.1913 0.9996  1 S 2.07, 1 Ge 2.28
S 0.4918 0.2638 0.6996  2 Ag 2.58-2.82, 2 In 2.64-2.66

Computed stability ranking, most favorable first: one, two

one:
DFT (PBE) results for a relaxed Ag8GeTe6 crystal.

Properties
* spin magnetization: 0.000 μB per cell
* maximum piezoelectric response: 1.042 C/m²

abc: 8.1543 8.1665 8.3018
angles: 61.77 62.09 63.62
With the nearest neighbours (Å) after each atom.
Space group P1 (No. 1)
One atom of each set of equivalent atoms:
Ag 0.0000 0.0000 0.0000  4 Te 2.83-3.06, 1 Ag 2.94
Ag 0.0457 0.3717 0.3486  3 Te 2.84-2.94, 3 Ag 2.87-3.03
Ag 0.1977 0.2026 0.0328  4 Te 2.89-3.21, 3 Ag 2.92-3.03
Ag 0.2487 0.6204 0.5564  3 Te 2.78-2.93, 2 Ag 2.82-3.01
Ag 0.3357 0.0044 0.3636  4 Ag 2.87-3.01, 4 Te 2.95-3.13
Ag 0.5644 0.8734 0.6083  4 Te 2.84-3.16, 3 Ag 2.89-2.91
Ag 0.6466 0.2070 0.5578  4 Te 2.86-3.17, 1 Ag 2.89
Ag 0.9055 0.5449 0.6437  2 Te 2.78-2.87, 3 Ag 2.82-2.92
Ge 0.7243 0.7216 0.0441  4 Te 2.59-2.65
Te 0.1051 0.6131 0.9511  1 Ge 2.64, 3 Ag 2.86-2.90
Te 0.2294 0.2028 0.6323  6 Ag 2.84-3.17
Te 0.5709 0.5642 0.9633  1 Ge 2.59, 2 Ag 2.78-2.84
Te 0.6169 0.0994 0.9557  1 Ge 2.62, 1 Ag 2.90
Te 0.6372 0.6029 0.4246  1 Ge 2.65, 4 Ag 2.78-2.95
Te 0.9749 0.9503 0.3708  7 Ag 2.83-3.16

two:
DFT (PBE) results for a relaxed Ag8GeTe6 crystal.

Properties
* spin magnetization: 0.000 μB per cell
* maximum piezoelectric response: 2.285 C/m²

abc: 8.1814 8.1907 8.3843
angles: 61.47 61.91 61.74
With the nearest neighbours (Å) after each atom.
Space group P1 (No. 1)
One atom of each set of equivalent atoms:
Ag 0.0000 0.0000 0.0000  4 Te 2.84-2.98, 1 Ag 3.06
Ag 0.0076 0.4182 0.5354  3 Te 2.88-2.93, 2 Ag 2.90-3.01
Ag 0.1781 0.2219 0.2085  3 Te 2.83-2.91, 2 Ag 2.91-2.96
Ag 0.1876 0.6097 0.5916  4 Te 2.82-3.07, 2 Ag 2.87-2.90
Ag 0.1980 0.6053 0.9314  4 Te 2.82-3.12, 5 Ag 2.86-3.06
Ag 0.5750 0.4110 0.0043  4 Te 2.85-2.99, 2 Ag 2.92-2.94
Ag 0.5842 0.7798 0.9679  3 Te 2.74-2.89, 2 Ag 2.92-3.00
Ag 0.8332 0.5808 0.2231  3 Te 2.84-3.03, 4 Ag 2.86-3.01
Ge 0.4967 0.9070 0.5083  4 Te 2.54-2.67
Te 0.1092 0.0066 0.6095  1 Ge 2.67, 3 Ag 2.87-2.94
Te 0.2380 0.6658 0.2140  6 Ag 2.82-2.92
Te 0.5885 0.5215 0.6094  1 Ge 2.65, 3 Ag 2.84-2.95
Te 0.5965 0.0132 0.1314  1 Ge 2.65, 4 Ag 2.85-2.91
Te 0.6464 0.0424 0.6040  1 Ge 2.54, 1 Ag 2.74
Te 0.9690 0.3994 0.9467  6 Ag 2.83-2.99

three:
DFT (PBE) results for a relaxed Ag8GeTe6 crystal.

Properties
* spin magnetization: 0.000 μB per cell

abc: 8.2136 8.2963 8.5911
angles: 62.04 61.68 62.82
With the nearest neighbours (Å) after each atom.
Space group P1 (No. 1)
One atom of each set of equivalent atoms:
Ag 0.0000 0.0000 0.0000  1 Ag 2.78, 4 Te 2.86-3.02
Ag 0.0020 0.3842 0.3311  3 Te 2.79-3.10, 2 Ag 2.81-3.06
Ag 0.0225 0.3734 0.9996  3 Ag 2.81-2.90, 4 Te 2.90-3.06
Ag 0.3479 0.3947 0.6534  3 Te 2.80-2.90, 3 Ag 2.85-3.12
Ag 0.3675 0.7746 0.5092  4 Te 2.77-3.07, 2 Ag 2.85-2.96
Ag 0.4149 0.7327 0.0366  3 Te 2.82-2.86
Ag 0.9409 0.7015 0.6845  2 Te 2.75-2.85, 2 Ag 2.81-2.89
Ag 0.9834 0.0245 0.6734  4 Ag 2.78-3.06, 4 Te 2.83-3.11
Ge 0.6952 0.1088 0.3951  4 Te 2.58-2.73
Te 0.0267 0.3520 0.6581  6 Ag 2.75-3.02
Te 0.0893 0.0025 0.2831  1 Ge 2.72, 2 Ag 2.86-2.90
Te 0.2158 0.6480 0.8999  5 Ag 2.80-3.09
Te 0.5930 0.0067 0.2218  1 Ge 2.58, 1 Ag 2.77
Te 0.6031 0.0115 0.7675  1 Ge 2.70, 4 Ag 2.82-2.90
Te 0.6262 0.4936 0.2857  1 Ge 2.73, 3 Ag 2.82-2.96

Computed stability ranking, most favorable first: one, two, three